No. 1
The following is a r²SCAN calculation of an optimized crystal structure of Bi, from Materials Project.

Lattice parameters (Å, degrees): 6.8549 6.8549 6.5137 90.00 90.00 118.18
Last column: nearest neighbours and their distance in Å.
Element x y z (fractional)
Bi1 0.2786 0.7214 0.5000  6 Bi 3.21-3.58
Bi2 0.7786 0.2214 0.0000  6 Bi 3.21-3.58
Bi3 0.7214 0.2786 0.5000  6 Bi 3.21-3.58
Bi4 0.2214 0.7786 0.0000  6 Bi 3.21-3.58
Bi5 0.2663 0.2663 0.9975  5 Bi 3.21-3.29
Bi6 0.7337 0.7337 0.0025  5 Bi 3.21-3.29
Bi7 0.2337 0.2337 0.4975  5 Bi 3.21-3.29
Bi8 0.7663 0.7663 0.5025  5 Bi 3.21-3.29

Calculated values
ΔH_f (0 K)   0.096 eV/atom
V   269.8 Å³ per cell
Uncorrected energy   -58.406 eV per atom
SG   Cmce (64)
ΔE to the lowest computed polymorph   0.096 eV/atom


No. 2
The following is a r²SCAN calculation of an optimized crystal structure of P2W, from Materials Project.

Lattice parameters (Å, degrees): 3.1855 4.9837 5.8082 90.00 105.92 90.00
Last column: nearest neighbours and their distance in Å.
Element x y z (fractional)
P1 0.4306 0.6173 0.8613  1 P 2.15
P2 0.5694 0.1173 0.1387  1 P 2.15
P3 0.7005 0.8007 0.4009  1 P 2.15
P4 0.2995 0.3007 0.5991  1 P 2.15
W1 0.0935 0.4990 0.1870  7 P 2.49-2.50
W2 0.9065 0.9990 0.8130  7 P 2.49-2.50

Calculated values
ΔH_f (0 K)   -0.382 eV/atom
V   88.7 Å³ per cell
Uncorrected energy   -23.505 eV per atom
SG   Cmc2_1 (36)
ΔE to the lowest computed polymorph   0.000 eV/atom


No. 3
The following is a r²SCAN calculation of an optimized crystal structure of GdErZn2, from Materials Project.

Lattice parameters (Å, degrees): 5.0161 5.0161 5.0161 60.00 60.00 60.00
Last column: nearest neighbours and their distance in Å.
Element x y z (fractional)
Gd1 0.0000 0.0000 0.0000  8 Zn 3.07
Er1 0.5000 0.5000 0.5000  8 Zn 3.07
Zn1 0.2500 0.2500 0.2500  4 Er 3.07, 4 Gd 3.07
Zn2 0.7500 0.7500 0.7500  4 Gd 3.07, 4 Er 3.07

Calculated values
ΔH_f (0 K)   -0.357 eV/atom
V   89.2 Å³ per cell
Uncorrected energy   -24.143 eV per atom
SG   Fm-3m (225)


No. 4
The following is a r²SCAN calculation of an optimized crystal structure of CeMgAg2, from Materials Project.

Lattice parameters (Å, degrees): 5.0692 5.0692 5.0692 60.00 60.00 60.00
Last column: nearest neighbours and their distance in Å.
Element x y z (fractional)
Ce1 0.0000 0.0000 0.0000  8 Ag 3.10
Mg1 0.5000 0.5000 0.5000  8 Ag 3.10
Ag1 0.7500 0.7500 0.7500  4 Ce 3.10, 4 Mg 3.10
Ag2 0.2500 0.2500 0.2500  4 Mg 3.10, 4 Ce 3.10

Calculated values
ΔH_f (0 K)   -0.210 eV/atom
V   92.1 Å³ per cell
Uncorrected energy   -19.641 eV per atom
SG   Fm-3m (225)


No. 5
The following is a r²SCAN calculation of an optimized crystal structure of MgTi4S8, from Materials Project.

Lattice parameters (Å, degrees): 7.3243 7.3243 7.3243 55.69 55.69 55.69
Last column: nearest neighbours and their distance in Å.
Element x y z (fractional)
Mg1 0.5000 0.5000 0.5000  6 S 2.57
Ti1 0.0000 0.5000 0.5000  6 S 2.42-2.45
Ti2 0.5000 0.0000 0.5000  6 S 2.42-2.45
Ti3 0.5000 0.5000 0.0000  6 S 2.42-2.45
Ti4 0.0000 0.0000 0.0000  6 S 2.44
S1 0.2542 0.7556 0.7556  3 Ti 2.44-2.45, 1 Mg 2.57
S2 0.2444 0.2444 0.7458  3 Ti 2.44-2.45, 1 Mg 2.57
S3 0.7458 0.2444 0.2444  3 Ti 2.44-2.45, 1 Mg 2.57
S4 0.2444 0.7458 0.2444  3 Ti 2.44-2.45, 1 Mg 2.57
S5 0.2575 0.2575 0.2575  3 Ti 2.42
S6 0.7425 0.7425 0.7425  3 Ti 2.42
S7 0.7556 0.2542 0.7556  3 Ti 2.44-2.45, 1 Mg 2.57
S8 0.7556 0.7556 0.2542  3 Ti 2.44-2.45, 1 Mg 2.57

Calculated values
ΔH_f (0 K)   -1.547 eV/atom
V   250.1 Å³ per cell
Uncorrected energy   -10.793 eV per atom
SG   R-3m (166)


No. 6
The following is a r²SCAN calculation of an optimized crystal structure of Fe6O11F, from Materials Project.

Lattice parameters (Å, degrees): 10.0793 10.0793 2.8370 90.00 90.00 144.17
Last column: nearest neighbours and their distance in Å.
Element x y z (fractional)
Fe1 0.0084 0.9916 0.0000  4 O 1.88-1.92, 2 F 2.06
Fe2 0.4996 0.5004 0.5000  6 O 1.85-2.07
Fe3 0.6678 0.3322 0.0000  6 O 1.85-1.88
Fe4 0.8246 0.1754 0.5000  5 O 1.77-1.86
Fe5 0.1698 0.8302 0.5000  6 O 1.86-1.87
Fe6 0.3300 0.6700 0.0000  6 O 1.85-1.90
O1 0.3062 0.3090 0.0000  3 Fe 1.85-1.92
O2 0.3666 0.0271 0.0000  3 Fe 1.87-1.88
O3 0.6910 0.6938 0.0000  3 Fe 1.85-1.92
O4 0.6062 0.3938 0.5000  3 Fe 1.85-2.05
O5 0.7322 0.2678 0.5000  3 Fe 1.77-1.88
O6 0.0725 0.9275 0.5000  3 Fe 1.87-1.88
O7 0.9729 0.6334 0.0000  3 Fe 1.87-1.88
O8 0.0244 0.3622 0.0000  3 Fe 1.86-1.90
O9 0.2669 0.7331 0.5000  3 Fe 1.86
O10 0.3916 0.6084 0.5000  2 Fe 1.85
O11 0.6378 0.9756 0.0000  3 Fe 1.86-1.90
F1 0.9304 0.0696 0.5000  3 Fe 2.03-2.06

Calculated values
ΔH_f (0 K)   -1.424 eV/atom
V   168.7 Å³ per cell
Uncorrected energy   -10.052 eV per atom
SG   Amm2 (38)